# SmRhO3, relaxed, DFT r²SCAN
# Crystal system: orthorhombic
# Density (Mg/m³): 8.4
# DFT formation energy (eV per atom): -2.422
# DFT total energy (eV per atom): -16.78
data_SmRhO3
_cell_length_a 5.824
_cell_length_b 7.707
_cell_length_c 5.296
_cell_angle_alpha 90.00
_cell_angle_beta 90.00
_cell_angle_gamma 90.00
_symmetry_space_group_name_H-M 'P n m a'
_symmetry_Int_Tables_number 62
loop_
_symmetry_equiv_pos_as_xyz
'x,y,z'
'-x,-y,-z'
'-x+1/2,-y,z+1/2'
'x+1/2,y,-z+1/2'
'x+1/2,-y+1/2,-z+1/2'
'-x+1/2,y+1/2,z+1/2'
'-x,y+1/2,-z'
'x,-y+1/2,z'
loop_
_atom_site_label
_atom_site_fract_x
_atom_site_fract_y
_atom_site_fract_z
_atom_site_occupancy
Sm1 0.081 0.250 0.028 1
Rh1 0.000 0.000 0.500 1
O1 0.041 0.750 0.381 1
O2 0.193 0.556 0.820 1

# Cu2HgI4, relaxed, DFT r²SCAN
# Crystal system: tetragonal
# Density (Mg/m³): 5.9
# DFT formation energy (eV per atom): -0.267
# DFT total energy (eV per atom): -24.45
data_Cu2HgI4
_cell_length_a 6.084
_cell_length_b 6.084
_cell_length_c 6.339
_cell_angle_alpha 90.00
_cell_angle_beta 90.00
_cell_angle_gamma 90.00
_symmetry_space_group_name_H-M 'P -4 2 m'
_symmetry_Int_Tables_number 111
loop_
_symmetry_equiv_pos_as_xyz
'x,y,z'
'y,-x,-z'
'-x,-y,z'
'-y,x,-z'
'x,-y,-z'
'y,x,z'
'-x,y,-z'
'-y,-x,z'
loop_
_atom_site_label
_atom_site_fract_x
_atom_site_fract_y
_atom_site_fract_z
_atom_site_occupancy
Cu1 0.000 0.500 0.000 1
Hg1 0.000 0.000 0.500 1
I1 0.267 0.267 0.767 1

# EuSi2Ni2, relaxed, DFT r²SCAN
# Crystal system: tetragonal
# Density (Mg/m³): 6.9
# DFT formation energy (eV per atom): -0.673
# DFT total energy (eV per atom): -16.68
data_EuSi2Ni2
_cell_length_a 4.011
_cell_length_b 4.011
_cell_length_c 9.725
_cell_angle_alpha 90.00
_cell_angle_beta 90.00
_cell_angle_gamma 90.00
_symmetry_space_group_name_H-M 'I 4/m m m'
_symmetry_Int_Tables_number 139
_symmetry_space_group_name_Hall '-I 4 2'
loop_
_atom_site_label
_atom_site_fract_x
_atom_site_fract_y
_atom_site_fract_z
_atom_site_occupancy
Eu1 0.000 0.000 0.000 1
Si1 0.000 0.000 0.367 1
Ni1 0.000 0.500 0.250 1

# NdMg, relaxed, DFT r²SCAN
# Crystal system: cubic
# Density (Mg/m³): 4.7
# DFT formation energy (eV per atom): -0.108
# DFT total energy (eV per atom): -16.90
data_NdMg
_cell_length_a 3.891
_cell_length_b 3.891
_cell_length_c 3.891
_cell_angle_alpha 90.00
_cell_angle_beta 90.00
_cell_angle_gamma 90.00
_symmetry_space_group_name_H-M 'P m -3 m'
_symmetry_Int_Tables_number 221
_symmetry_space_group_name_Hall '-P 4 2 3'
loop_
_atom_site_label
_atom_site_fract_x
_atom_site_fract_y
_atom_site_fract_z
_atom_site_occupancy
Nd1 0.000 0.000 0.000 1
Mg1 0.500 0.500 0.500 1

# Cr2B3, relaxed, DFT r²SCAN
# Crystal system: orthorhombic
# Density (Mg/m³): 5.9
# DFT formation energy (eV per atom): -0.317
# DFT total energy (eV per atom): -10.75
data_Cr2B3
_cell_length_a 2.912
_cell_length_b 18.100
_cell_length_c 2.931
_cell_angle_alpha 90.00
_cell_angle_beta 90.00
_cell_angle_gamma 90.00
_symmetry_space_group_name_H-M 'C m c m'
_symmetry_Int_Tables_number 63
_symmetry_space_group_name_Hall '-C 2c 2'
loop_
_atom_site_label
_atom_site_fract_x
_atom_site_fract_y
_atom_site_fract_z
_atom_site_occupancy
Cr1 0.000 0.072 0.250 1
Cr2 0.000 0.202 0.750 1
B1 0.000 0.327 0.750 1
B2 0.000 0.381 0.250 1
B3 0.000 0.476 0.250 1

# Eu2Zn5Ni5, relaxed, DFT r²SCAN
# Crystal system: orthorhombic
# Density (Mg/m³): 8.3
# DFT formation energy (eV per atom): -0.262
# DFT total energy (eV per atom): -15.39
data_Eu2Zn5Ni5
_cell_length_a 3.937
_cell_length_b 5.259
_cell_length_c 8.940
_cell_angle_alpha 90.00
_cell_angle_beta 90.00
_cell_angle_gamma 90.00
_symmetry_space_group_name_H-M 'P m m m'
_symmetry_Int_Tables_number 47
loop_
_symmetry_equiv_pos_as_xyz
'x,y,z'
'-x,-y,-z'
'-x,-y,z'
'x,y,-z'
'x,-y,-z'
'-x,y,z'
'-x,y,-z'
'x,-y,z'
loop_
_atom_site_label
_atom_site_fract_x
_atom_site_fract_y
_atom_site_fract_z
_atom_site_occupancy
Eu1 0.000 0.000 0.000 1
Eu2 0.000 0.500 0.500 1
Zn1 0.500 0.000 0.500 1
Zn2 0.500 0.253 0.243 1
Ni1 0.000 0.000 0.334 1
Ni2 0.000 0.500 0.158 1
Ni3 0.500 0.500 0.000 1

# Tm4B3C4, relaxed, DFT r²SCAN
# Crystal system: triclinic
# Density (Mg/m³): 8.8
# DFT formation energy (eV per atom): -0.675
# DFT total energy (eV per atom): -19.07
data_Tm4B3C4
_cell_length_a 3.436
_cell_length_b 3.530
_cell_length_c 11.801
_cell_angle_alpha 92.65
_cell_angle_beta 96.32
_cell_angle_gamma 90.12
_symmetry_space_group_name_H-M 'P -1'
_symmetry_Int_Tables_number 2
loop_
_symmetry_equiv_pos_as_xyz
'x,y,z'
'-x,-y,-z'
loop_
_atom_site_label
_atom_site_fract_x
_atom_site_fract_y
_atom_site_fract_z
_atom_site_occupancy
Tm1 0.110 0.448 0.141 1
Tm2 0.307 0.024 0.650 1
B1 0.235 0.493 0.459 1
B2 0.500 0.000 0.000 1
C1 0.186 0.473 0.331 1
C2 0.392 0.062 0.879 1

# PrV2IO9, relaxed, DFT r²SCAN
# Crystal system: orthorhombic
# Density (Mg/m³): 4.6
# DFT formation energy (eV per atom): -2.236
# DFT total energy (eV per atom): -12.69
data_PrV2IO9
_cell_length_a 7.051
_cell_length_b 14.544
_cell_length_c 7.245
_cell_angle_alpha 90.00
_cell_angle_beta 90.00
_cell_angle_gamma 90.00
_symmetry_space_group_name_H-M 'P b c m'
_symmetry_Int_Tables_number 57
loop_
_symmetry_equiv_pos_as_xyz
'x,y,z'
'-x,-y,-z'
'-x,-y,z+1/2'
'x,y,-z+1/2'
'x,-y+1/2,-z'
'-x,y+1/2,z'
'-x,y+1/2,-z+1/2'
'x,-y+1/2,z+1/2'
loop_
_atom_site_label
_atom_site_fract_x
_atom_site_fract_y
_atom_site_fract_z
_atom_site_occupancy
Pr1 0.149 0.047 0.250 1
V1 0.181 0.729 0.750 1
V2 0.465 0.250 0.000 1
I1 0.296 0.056 0.750 1
O1 0.010 0.694 0.250 1
O2 0.082 0.625 0.750 1
O3 0.175 0.510 0.071 1
O4 0.260 0.750 0.000 1
O5 0.331 0.158 0.044 1
O6 0.468 0.722 0.750 1
O7 0.476 0.502 0.750 1

# VSiNi, relaxed, DFT r²SCAN
# Crystal system: orthorhombic
# Density (Mg/m³): 6.3
# DFT formation energy (eV per atom): -0.597
# DFT total energy (eV per atom): -12.21
data_VSiNi
_cell_length_a 5.970
_cell_length_b 3.508
_cell_length_c 6.879
_cell_angle_alpha 90.00
_cell_angle_beta 90.00
_cell_angle_gamma 90.00
_symmetry_space_group_name_H-M 'P n m a'
_symmetry_Int_Tables_number 62
loop_
_symmetry_equiv_pos_as_xyz
'x,y,z'
'-x,-y,-z'
'-x+1/2,-y,z+1/2'
'x+1/2,y,-z+1/2'
'x+1/2,-y+1/2,-z+1/2'
'-x+1/2,y+1/2,z+1/2'
'-x,y+1/2,-z'
'x,-y+1/2,z'
loop_
_atom_site_label
_atom_site_fract_x
_atom_site_fract_y
_atom_site_fract_z
_atom_site_occupancy
V1 0.026 0.250 0.166 1
Si1 0.229 0.750 0.370 1
Ni1 0.144 0.250 0.560 1

# EuAl2Ga2, relaxed, DFT r²SCAN
# Crystal system: tetragonal
# Density (Mg/m³): 5.7
# DFT formation energy (eV per atom): -0.490
# DFT total energy (eV per atom): -15.46
data_EuAl2Ga2
_cell_length_a 4.272
_cell_length_b 4.272
_cell_length_c 10.961
_cell_angle_alpha 90.00
_cell_angle_beta 90.00
_cell_angle_gamma 90.00
_symmetry_space_group_name_H-M 'I 4/m m m'
_symmetry_Int_Tables_number 139
_symmetry_space_group_name_Hall '-I 4 2'
loop_
_atom_site_label
_atom_site_fract_x
_atom_site_fract_y
_atom_site_fract_z
_atom_site_occupancy
Eu1 0.000 0.000 0.000 1
Al1 0.000 0.500 0.250 1
Ga1 0.000 0.000 0.386 1

# La3NbO7, relaxed, DFT r²SCAN
# Crystal system: orthorhombic
# Density (Mg/m³): 6.2
# DFT formation energy (eV per atom): -3.561
# Offset from the most stable computed form (meV/atom): 2.8
# DFT total energy (eV per atom): -17.72
data_La3NbO7
_cell_length_a 11.179
_cell_length_b 7.579
_cell_length_c 7.813
_cell_angle_alpha 90.00
_cell_angle_beta 90.00
_cell_angle_gamma 90.00
_symmetry_space_group_name_H-M 'C m c m'
_symmetry_Int_Tables_number 63
_symmetry_space_group_name_Hall '-C 2c 2'
loop_
_atom_site_label
_atom_site_fract_x
_atom_site_fract_y
_atom_site_fract_z
_atom_site_occupancy
La1 0.000 0.000 0.000 1
La2 0.227 0.298 0.250 1
Nb1 0.000 0.500 0.000 1
O1 0.000 0.434 0.250 1
O2 0.125 0.313 0.534 1
O3 0.130 0.025 0.250 1

# Cu3Ge, relaxed, DFT r²SCAN
# Crystal system: hexagonal
# Density (Mg/m³): 8.8
# DFT formation energy (eV per atom): 0.022
# DFT total energy (eV per atom): -11.58
data_Cu3Ge
_cell_length_a 5.2347
_cell_length_b 5.2347
_cell_length_c 4.1655
_cell_angle_alpha 90.00
_cell_angle_beta 90.00
_cell_angle_gamma 120.00
_symmetry_space_group_name_H-M 'P 63/m m c'
_symmetry_Int_Tables_number 194
_symmetry_space_group_name_Hall '-P 6c 2c'
loop_
_atom_site_label
_atom_site_fract_x
_atom_site_fract_y
_atom_site_fract_z
_atom_site_occupancy
Cu1 0.1646 0.3292 0.2500 1
Ge1 0.3333 0.6667 0.7500 1

# Cs2PuO4, relaxed, DFT r²SCAN
# Crystal system: tetragonal
# Density (Mg/m³): 6.7
# DFT formation energy (eV per atom): -2.512
# DFT total energy (eV per atom): -25.44
data_Cs2PuO4
_cell_length_a 4.367
_cell_length_b 4.367
_cell_length_c 14.890
_cell_angle_alpha 90.00
_cell_angle_beta 90.00
_cell_angle_gamma 90.00
_symmetry_space_group_name_H-M 'I 4/m m m'
_symmetry_Int_Tables_number 139
_symmetry_space_group_name_Hall '-I 4 2'
loop_
_atom_site_label
_atom_site_fract_x
_atom_site_fract_y
_atom_site_fract_z
_atom_site_occupancy
Cs1 0.000 0.000 0.154 1
Pu1 0.000 0.000 0.500 1
O1 0.000 0.000 0.373 1
O2 0.000 0.500 0.000 1

# Li3Mn2FeB3O9, relaxed, DFT r²SCAN
# Crystal system: monoclinic
# Density (Mg/m³): 3.4
# DFT formation energy (eV per atom): -2.302
# DFT total energy (eV per atom): -9.34
data_Li3Mn2FeB3O9
_cell_length_a 8.112
_cell_length_b 3.107
_cell_length_c 14.099
_cell_angle_alpha 90.00
_cell_angle_beta 90.04
_cell_angle_gamma 90.00
_symmetry_space_group_name_H-M 'P 1 m 1'
_symmetry_Int_Tables_number 6
loop_
_symmetry_equiv_pos_as_xyz
'x,y,z'
'x,-y,z'
loop_
_atom_site_label
_atom_site_fract_x
_atom_site_fract_y
_atom_site_fract_z
_atom_site_occupancy
Li1 0.000 0.000 0.000 1
Li2 0.023 0.000 0.294 1
Li3 0.070 0.000 0.658 1
Li4 0.500 0.000 0.500 1
Li5 0.525 0.000 0.793 1
Li6 0.573 0.000 0.158 1
Mn1 0.174 0.500 0.470 1
Mn2 0.192 0.500 0.835 1
Mn3 0.234 0.500 0.144 1
Mn4 0.729 0.500 0.645 1
Fe1 0.681 0.500 0.971 1
Fe2 0.687 0.500 0.333 1
B1 0.364 0.500 0.650 1
B2 0.369 0.000 0.317 1
B3 0.369 0.000 0.983 1
B4 0.863 0.000 0.482 1
B5 0.864 0.000 0.819 1
B6 0.865 0.500 0.152 1
O1 0.005 0.500 0.208 1
O2 0.016 0.000 0.863 1
O3 0.017 0.000 0.524 1
O4 0.207 0.500 0.689 1
O5 0.226 0.000 0.370 1
O6 0.229 0.000 0.039 1
O7 0.352 0.000 0.885 1
O8 0.360 0.000 0.219 1
O9 0.385 0.500 0.553 1
O10 0.501 0.500 0.709 1
O11 0.520 0.000 0.362 1
O12 0.524 0.000 0.024 1
O13 0.710 0.500 0.193 1
O14 0.721 0.000 0.873 1
O15 0.725 0.000 0.540 1
O16 0.846 0.000 0.385 1
O17 0.854 0.000 0.721 1
O18 0.879 0.500 0.054 1

# Ge7F16, relaxed, DFT r²SCAN
# Crystal system: monoclinic
# Density (Mg/m³): 4.0
# DFT formation energy (eV per atom): -2.254
# DFT total energy (eV per atom): -8.65
data_Ge7F16
_cell_length_a 17.857
_cell_length_b 7.467
_cell_length_c 10.106
_cell_angle_alpha 90.00
_cell_angle_beta 90.28
_cell_angle_gamma 90.00
_symmetry_space_group_name_H-M 'C 1 c 1'
_symmetry_Int_Tables_number 9
loop_
_symmetry_equiv_pos_as_xyz
'x,y,z'
'x,-y,z+1/2'
'x+1/2,y+1/2,z'
'x+1/2,-y+1/2,z+1/2'
loop_
_atom_site_label
_atom_site_fract_x
_atom_site_fract_y
_atom_site_fract_z
_atom_site_occupancy
Ge1 0.000 0.059 0.000 1
Ge2 0.077 0.431 0.611 1
Ge3 0.148 0.108 0.267 1
Ge4 0.219 0.331 0.904 1
Ge5 0.283 0.176 0.555 1
Ge6 0.364 0.351 0.211 1
Ge7 0.431 0.086 0.835 1
F1 0.008 0.491 0.456 1
F2 0.012 0.387 0.209 1
F3 0.054 0.120 0.412 1
F4 0.070 0.006 0.154 1
F5 0.129 0.364 0.053 1
F6 0.153 0.134 0.844 1
F7 0.162 0.476 0.798 1
F8 0.200 0.303 0.514 1
F9 0.221 0.006 0.115 1
F10 0.281 0.274 0.721 1
F11 0.282 0.074 0.393 1
F12 0.340 0.358 0.499 1
F13 0.363 0.045 0.602 1
F14 0.422 0.480 0.792 1
F15 0.432 0.170 0.285 1
F16 0.439 0.358 0.066 1

# CeAgSb2, relaxed, DFT r²SCAN
# Crystal system: tetragonal
# Density (Mg/m³): 7.9
# DFT formation energy (eV per atom): -0.792
# DFT total energy (eV per atom): -26.69
data_CeAgSb2
_cell_length_a 4.390
_cell_length_b 4.390
_cell_length_c 10.748
_cell_angle_alpha 90.00
_cell_angle_beta 90.00
_cell_angle_gamma 90.00
_symmetry_space_group_name_H-M 'P 4/n m m'
_symmetry_Int_Tables_number 129
loop_
_symmetry_equiv_pos_as_xyz
'x,y,z'
'-x,-y,-z'
'-y+1/2,x,z'
'y+1/2,-x,-z'
'-x+1/2,-y+1/2,z'
'x+1/2,y+1/2,-z'
'y,-x+1/2,z'
'-y,x+1/2,-z'
'x+1/2,-y,-z'
'-x+1/2,y,z'
'-y,-x,-z'
'y,x,z'
'-x,y+1/2,-z'
'x,-y+1/2,z'
'y+1/2,x+1/2,-z'
'-y+1/2,-x+1/2,z'
loop_
_atom_site_label
_atom_site_fract_x
_atom_site_fract_y
_atom_site_fract_z
_atom_site_occupancy
Ce1 0.250 0.250 0.236 1
Ag1 0.250 0.750 0.500 1
Sb1 0.250 0.250 0.674 1
Sb2 0.250 0.750 0.000 1